Record 1
This record from the Materials Project describes a relaxed structure of CsCaI3. The functional is GGA-PBE.

Unit cell a=6.235 b=6.235 c=6.231 alpha=89.99 beta=89.99 gamma=90.00
Sites, in units of the cell vectors:
I (0.504, 0.001, 0.487)
I (0.493, 0.493, 0.984)
I (0.001, 0.504, 0.487)
Ca (0.505, 0.505, 0.483)
Cs (0.000, 0.000, 0.998)

Space-group type = Cm (8)
ΔE_f = -9.114 eV per formula unit

=====

Record 2
This record from the Materials Project describes a relaxed structure of CsCaI3. The functional is GGA-PBE.

Unit cell a=8.604 b=8.946 c=12.322 alpha=90.00 beta=90.00 gamma=90.00
Sites, in units of the cell vectors:
Ca (0.000, 0.000, 0.500)
Ca (0.000, 0.000, 0.000)
Ca (0.500, 0.500, 0.000)
Ca (0.500, 0.500, 0.500)
I (0.294, 0.210, 0.462)
I (0.206, 0.710, 0.462)
I (0.294, 0.210, 0.038)
I (0.577, 0.512, 0.250)
I (0.423, 0.488, 0.750)
I (0.794, 0.290, 0.962)
I (0.794, 0.290, 0.538)
I (0.923, 0.012, 0.250)
I (0.706, 0.790, 0.962)
I (0.206, 0.710, 0.038)
I (0.077, 0.988, 0.750)
I (0.706, 0.790, 0.538)
Cs (0.022, 0.435, 0.250)
Cs (0.978, 0.565, 0.750)
Cs (0.478, 0.935, 0.250)
Cs (0.522, 0.065, 0.750)

Space-group type = Pnma (62)
ΔE_f = -9.166 eV per formula unit

=====

Record 3
This record from the Materials Project describes a relaxed structure of CsCaMg14. The functional is GGA-PBE.

Unit cell a=6.652 b=6.677 c=11.001 alpha=90.00 beta=90.00 gamma=120.12
Sites, in units of the cell vectors:
Mg (0.817, 0.659, 0.856)
Mg (0.817, 0.659, 0.394)
Mg (0.158, 0.329, 0.625)
Mg (0.672, 0.838, 0.625)
Mg (0.672, 0.333, 0.625)
Mg (0.163, 0.832, 0.625)
Mg (0.666, 0.835, 0.125)
Mg (0.343, 0.665, 0.850)
Mg (0.343, 0.665, 0.400)
Mg (0.829, 0.164, 0.872)
Mg (0.343, 0.177, 0.850)
Mg (0.343, 0.177, 0.400)
Mg (0.829, 0.164, 0.378)
Mg (0.666, 0.331, 0.125)
Ca (0.179, 0.340, 0.125)
Cs (0.162, 0.831, 0.125)

Distance to the lowest polymorph of the same formula = 0.002 eV/atom
Space-group type = Amm2 (38)
ΔE_f = 2.617 eV per formula unit